1.
25
Lattice="5.1006 -2.8363 0.0000 5.1006 2.8363 0.0000 -2.8209 0.0000 11.7810" Properties=species:S:1:pos:R:3 comment="MgTi2Nb2Pb5O15, optimized geometry, DFT PBE" e_tot_ev_per_fu=-184.01 space_group="No. 8" pbc="T T T"
Mg 0.0000 0.0000 0.0000
Ti 0.3403 0.0000 6.9947
Ti 6.9851 0.0000 4.7386
Nb 3.5156 0.0000 2.3284
Nb 3.9211 0.0000 9.4874
Pb -0.0343 0.0000 3.4550
Pb 0.3968 0.0000 10.4168
Pb 3.4838 0.0000 5.8350
Pb 6.6965 0.0000 0.9900
Pb 7.0200 0.0000 8.1963
O -1.1305 0.0000 5.9898
O 1.4166 1.4175 6.0106
O 2.9869 1.4337 3.7248
O 1.9582 0.0000 1.3015
O 4.5485 1.3864 1.3939
O 3.3113 1.4092 10.6927
O 4.9370 1.4497 8.3042
O 2.3638 0.0000 8.3207
O 1.4166 -1.4175 6.0106
O 5.5243 0.0000 3.7084
O 2.9869 -1.4337 3.7248
O 4.5485 -1.3864 1.3939
O 5.7208 0.0000 10.5637
O 3.3113 -1.4092 10.6927
O 4.9370 -1.4497 8.3042

***

2.
10
Lattice="0.0000 4.3523 4.3523 4.3523 0.0000 4.3523 4.3523 4.3523 0.0000" Properties=species:S:1:pos:R:3 comment="Na2CuSbF6, optimized geometry, DFT PBE" e_tot_ev_per_fu=-42.62 space_group="No. 225" pbc="T T T"
Na 2.1762 2.1762 2.1762
Na 6.5285 6.5285 6.5285
Cu 0.0000 0.0000 0.0000
Sb 4.3523 4.3523 4.3523
F 4.3523 4.3523 2.1564
F 4.3523 2.1564 4.3523
F 6.5482 4.3523 4.3523
F 2.1564 4.3523 4.3523
F 4.3523 6.5482 4.3523
F 4.3523 4.3523 6.5482

***

3.
64
Lattice="9.5412 0.0000 0.0000 0.0000 7.1638 0.0000 -8.5404 0.0000 13.4875" Properties=species:S:1:pos:R:3 comment="SrH6C2S2N2O3, optimized geometry, DFT PBE" e_tot_ev_per_fu=-92.82 space_group="No. 14" pbc="T T T"
Sr 1.0852 1.7691 0.6542
Sr -3.1849 1.8128 7.3980
Sr 4.1858 5.3510 6.0895
Sr -0.0844 5.3947 12.8332
H -1.1564 1.3144 2.7523
H -5.4266 2.2675 9.4960
H -0.2680 0.0690 3.1046
H -4.5382 3.5129 9.8484
H -5.2365 0.4655 12.2419
H -0.9663 3.1164 5.4982
H -0.3610 1.6907 5.7361
H -4.6312 1.8912 12.4798
H 1.6663 5.1102 4.1517
H -2.6039 5.6355 10.8955
H 2.3337 1.2955 3.4968
H -1.9365 2.2864 10.2406
H 2.9373 4.8774 3.2469
H -1.3329 5.8683 9.9906
H 3.6047 1.5283 2.5920
H -0.6654 2.0536 9.3357
H 5.6320 5.2726 1.0077
H 1.3618 5.4731 7.7514
H 1.9671 4.0474 7.9893
H 6.2373 6.6983 1.2456
H 5.5390 3.6509 3.6391
H 1.2688 7.0948 10.3828
H 6.4274 4.8963 3.9914
H 2.1572 5.8494 10.7352
C -0.5664 4.3248 2.6019
C -4.8366 6.4210 9.3456
C -2.1426 5.2862 7.3227
C 2.1276 5.4595 0.5790
C -1.1267 1.7043 12.9085
C 3.1434 1.8776 6.1647
C 5.8374 0.7428 4.1418
C 1.5672 2.8391 10.8855
S -0.6948 5.0621 4.0562
S -4.9650 5.6836 10.7999
S 3.2337 4.3048 0.8781
S -1.0365 6.4409 7.6218
S 2.0373 0.7229 5.8656
S -2.2329 2.8590 12.6093
S 5.9658 1.4802 2.6876
S 1.6956 2.1017 9.4313
N -0.4579 3.8135 1.5320
N -4.7281 6.9322 8.2757
N -2.9712 4.4573 7.1031
N 1.2990 6.2884 0.3594
N -0.2982 0.8754 13.1281
N 3.9720 2.7065 6.3844
N 5.7289 0.2316 5.2117
N 1.4587 3.3503 11.9554
O -0.2371 0.9691 2.7096
O -4.5073 2.6129 9.4534
O -5.3909 1.3173 12.7057
O -1.1207 2.2646 5.9620
O 2.6430 1.3308 2.5648
O -1.6272 2.2511 9.3085
O 2.6280 4.9127 4.1790
O -1.6422 5.8330 10.9227
O 2.1215 4.8992 7.5254
O 6.3917 5.8465 0.7817
O 5.5081 4.5510 4.0341
O 1.2379 6.1948 10.7778

***

4.
38
Lattice="9.4326 0.0000 0.0000 -4.7163 8.1688 0.0000 0.0000 0.0000 8.8384" Properties=species:S:1:pos:R:3 comment="Er2Al17, optimized geometry, DFT PBE" e_tot_ev_per_fu=-74.37 space_group="No. 194" pbc="T T T"
Er 0.0000 0.0000 2.2096
Er 0.0000 0.0000 6.6288
Er 0.0000 5.4459 2.2096
Er 4.7163 2.7229 6.6288
Al -2.3581 4.0844 0.0000
Al -2.3581 4.0844 4.4192
Al -1.3970 2.9469 6.6288
Al -2.8626 5.4856 6.6288
Al 0.0000 2.6658 0.1983
Al 0.0000 2.6658 4.2209
Al -2.4076 6.8359 0.1983
Al -2.4076 6.8359 4.2209
Al 2.3087 1.3329 4.6175
Al 2.3087 1.3329 8.6401
Al 1.3970 2.9469 6.6288
Al -1.4657 7.9052 6.6288
Al 0.0000 5.4459 5.3149
Al 0.0000 5.4459 7.9428
Al 3.2506 0.2637 2.2096
Al 1.8536 2.6833 2.2096
Al 4.7163 0.0000 0.0000
Al 4.7163 0.0000 4.4192
Al 2.3581 4.0844 0.0000
Al 2.3581 4.0844 4.4192
Al 2.8626 5.4856 6.6288
Al 1.4657 7.9052 6.6288
Al 4.7163 2.7229 0.8957
Al 4.7163 2.7229 3.5236
Al 6.1820 0.2637 2.2096
Al 3.3193 5.2219 2.2096
Al 2.4076 6.8359 0.1983
Al 2.4076 6.8359 4.2209
Al 7.1239 1.3329 4.6175
Al 7.1239 1.3329 8.6401
Al 4.7163 5.5030 4.6175
Al 4.7163 5.5030 8.6401
Al 7.5789 2.6833 2.2096
Al 6.1132 5.2219 2.2096

***

| no. | magnetic moment (μB per cell) | calculated formation energy (eV per atom) |
| --- | --- | --- |
| 1 | 0.00 | -2.56 |
| 2 | 0.00 | -2.30 |
| 3 | 0.00 | -0.97 |
| 4 | 0.01 | -0.08 |